A relaxed structure of ErAsO4. Source: Materials Project, functional GGA-PBE.

a b c (Å): 7.098 7.098 6.330
angles (deg): 90.00 90.00 90.00
Space group I4_1/amd (No. 141, origin choice 2)
Asymmetric unit:
Er 0.000 0.250 0.375
As 0.000 0.250 0.875
O 0.000 0.067 0.696

Summary:
DFT formation energy   -2.855 eV per atom
Electronic total energy   -7.233 eV per atom